SmGe, optimized geometry, DFT PBE; space group = Cmcm, No. 63; calculated total energy = -5.536 eV per atom; volume = 97.0 Å³/cell; DFT formation energy = -865.4 meV/atom
1.0
-1.0023 4.9056 -3.1227
-2.9824 -3.2081 3.9540
1.5605 2.2090 2.9693
Sm Ge
2 2
direct
0.8615 0.1385 0.7500
0.1385 0.8615 0.2500
0.5824 0.4176 0.7500
0.4176 0.5824 0.2500

---

Sm2Ge3, optimized geometry, DFT PBE; space group = P-6m2, No. 187; calculated total energy = -5.180 eV per atom; volume = 124.0 Å³/cell; DFT formation energy = -518.7 meV/atom; total magnetic moment = 0.000 μB per formula unit
1.0
0.5716 3.6538 2.4467
-2.9445 -3.0696 1.2536
5.1710 -3.3876 3.8508
Sm Ge
2 3
direct
0.6667 0.3333 0.7306
0.6667 0.3333 0.2694
0.0000 0.0000 0.0000
0.3333 0.6667 0.5000
0.3333 0.6667 0.0000

---

Sm4Ge7, optimized geometry, DFT PBE; space group = C222_1, No. 20; calculated total energy = -5.376 eV per atom; volume = 496.6 Å³/cell; DFT formation energy = -718.5 meV/atom
1.0
2.9850 -6.9592 0.0000
2.9850 6.9592 0.0000
0.0000 0.0000 11.9530
Sm Ge
8 14
direct
0.4919 0.9826 0.3802
0.9826 0.4919 0.6198
0.5081 0.0174 0.8802
0.0174 0.5081 0.1198
0.9957 0.0043 0.2500
0.0043 0.9957 0.7500
0.4866 0.4866 0.5000
0.5134 0.5134 0.0000
0.9290 0.1067 0.9891
0.1067 0.9290 0.0109
0.0710 0.8933 0.4891
0.8933 0.0710 0.5109
0.5742 0.9190 0.1283
0.9190 0.5742 0.8717
0.4258 0.0810 0.6283
0.0810 0.4258 0.3717
0.4745 0.1801 0.1631
0.1801 0.4745 0.8369
0.5255 0.8199 0.6631
0.8199 0.5255 0.3369
0.4391 0.5609 0.2500
0.5609 0.4391 0.7500

---

- Which of these has the lowest volume?
  SmGe

---

- Among the records above, which one has the lowest volume?
  SmGe

---

- What is the formula in the second record?
  Sm2Ge3

---

What did the third record say?
Sm4Ge7, optimized geometry, DFT PBE; space group = C222_1, No. 20; calculated total energy = -5.376 eV per atom; volume = 496.6 Å³/cell; DFT formation energy = -718.5 meV/atom
1.0
2.9850 -6.9592 0.0000
2.9850 6.9592 0.0000
0.0000 0.0000 11.9530
Sm Ge
8 14
direct
0.4919 0.9826 0.3802
0.9826 0.4919 0.6198
0.5081 0.0174 0.8802
0.0174 0.5081 0.1198
0.9957 0.0043 0.2500
0.0043 0.9957 0.7500
0.4866 0.4866 0.5000
0.5134 0.5134 0.0000
0.9290 0.1067 0.9891
0.1067 0.9290 0.0109
0.0710 0.8933 0.4891
0.8933 0.0710 0.5109
0.5742 0.9190 0.1283
0.9190 0.5742 0.8717
0.4258 0.0810 0.6283
0.0810 0.4258 0.3717
0.4745 0.1801 0.1631
0.1801 0.4745 0.8369
0.5255 0.8199 0.6631
0.8199 0.5255 0.3369
0.4391 0.5609 0.2500
0.5609 0.4391 0.7500